K2TlAuCl6 | Materials Project | PBE | relaxed; raw total energy = -2.952 eV per atom; space-group type = Fm-3m, No. 225; theoretical density = 3815 kg/m³
1.0
0.000 5.321 5.321
5.321 0.000 5.321
5.321 5.321 0.000
K Tl Au Cl
2 1 1 6
Direct
0.750 0.750 0.750
0.250 0.250 0.250
0.000 0.000 0.000
0.500 0.500 0.500
0.744 0.256 0.256
0.256 0.256 0.744
0.256 0.744 0.744
0.256 0.744 0.256
0.744 0.256 0.744
0.744 0.744 0.256

=====

K2TmAuCl6 | Materials Project | PBE | relaxed; raw total energy = -3.745 eV per atom; space-group type = Fm-3m, No. 225; theoretical density = 3590 kg/m³
1.0
-2.695 -3.172 6.294
-7.298 -1.862 0.459
-2.049 -7.262 -0.014
K Tm Au Cl
2 1 1 6
Direct
0.750 0.750 0.750
0.250 0.250 0.250
0.000 0.000 0.000
0.500 0.500 0.500
0.757 0.243 0.243
0.243 0.243 0.757
0.243 0.757 0.757
0.243 0.757 0.243
0.757 0.243 0.757
0.757 0.757 0.243

=====

K2YAuCl6 | Materials Project | PBE | relaxed; raw total energy = -3.937 eV per atom; space-group type = Fm-3m, No. 225; theoretical density = 3088 kg/m³
1.0
0.000 5.372 5.372
5.372 0.000 5.372
5.372 5.372 0.000
K Y Au Cl
2 1 1 6
Direct
0.750 0.750 0.750
0.250 0.250 0.250
0.000 0.000 0.000
0.500 0.500 0.500
0.755 0.245 0.245
0.245 0.245 0.755
0.245 0.755 0.755
0.245 0.755 0.245
0.755 0.245 0.755
0.755 0.755 0.245

=====

Rb2LiAuCl6 | Materials Project | PBE | relaxed; raw total energy = -3.009 eV per atom; space-group type = Fm-3m, No. 225; theoretical density = 3658 kg/m³
1.0
-0.172 1.335 7.099
-5.653 -2.162 3.947
0.749 -5.423 4.715
Rb Li Au Cl
2 1 1 6
Direct
0.750 0.750 0.750
0.250 0.250 0.250
0.500 0.500 0.500
0.000 0.000 0.000
0.753 0.247 0.247
0.247 0.247 0.753
0.247 0.753 0.753
0.247 0.753 0.247
0.753 0.247 0.753
0.753 0.753 0.247

=====

MgAu4Se4Cl4O12 | Materials Project | PBE | relaxed; relative energy among the computed polymorphs = 50 meV per atom; raw total energy = -4.417 eV per atom; space-group type = P1, No. 1; theoretical density = 4447 kg/m³
1.0
-4.291 1.834 -1.157
-3.173 -3.668 8.806
1.755 9.581 5.925
Mg Au Se Cl O
1 4 4 4 12
Direct
0.838 0.268 0.304
0.057 0.550 0.202
0.021 0.990 0.995
0.025 0.414 0.812
0.991 0.036 0.500
0.782 0.895 0.271
0.241 0.694 0.925
0.658 0.226 0.034
0.291 0.136 0.734
0.389 0.484 0.677
0.800 0.483 0.377
0.265 0.236 0.442
0.703 0.844 0.549
0.709 0.955 0.125
0.674 0.357 0.922
0.105 0.852 0.261
0.018 0.184 0.027
0.651 0.302 0.159
0.975 0.793 0.973
0.314 0.601 0.051
0.995 0.223 0.761
0.837 0.065 0.337
0.981 0.600 0.857
0.335 0.038 0.866
0.124 0.006 0.666

=====

MgAu4Se4Cl4O12 | Materials Project | PBE | relaxed; relative energy among the computed polymorphs = 13 meV per atom; raw total energy = -4.454 eV per atom; space-group type = P1, No. 1; theoretical density = 4111 kg/m³
1.0
5.255 0.212 0.405
0.967 9.933 1.595
0.725 -0.085 11.396
Mg Au Se Cl O
1 4 4 4 12
Direct
0.529 0.524 0.934
0.017 0.594 0.159
0.960 0.017 0.005
0.186 0.374 0.733
0.017 0.969 0.502
0.777 0.884 0.275
0.023 0.742 0.882
0.867 0.293 0.125
0.223 0.084 0.718
0.431 0.542 0.730
0.770 0.520 0.330
0.274 0.142 0.448
0.768 0.795 0.553
0.697 0.004 0.154
0.643 0.361 0.033
0.034 0.775 0.212
0.086 0.186 0.038
0.090 0.414 0.097
0.822 0.853 0.968
0.228 0.656 0.996
0.979 0.217 0.731
0.981 0.980 0.325
0.811 0.634 0.886
0.243 0.006 0.865
0.046 0.964 0.677

=====

MgAu4Se4Cl4O12 | Materials Project | PBE | relaxed; relative energy among the computed polymorphs = 70 meV per atom; raw total energy = -4.397 eV per atom; space-group type = P1, No. 1; theoretical density = 4611 kg/m³
1.0
-1.847 -0.015 4.060
-6.354 -7.688 -3.406
6.801 -8.720 2.405
Mg Au Se Cl O
1 4 4 4 12
Direct
0.199 0.393 0.296
0.964 0.603 0.179
0.032 0.971 0.983
0.013 0.402 0.828
0.969 0.041 0.483
0.760 0.887 0.259
0.206 0.691 0.912
0.842 0.228 0.086
0.286 0.134 0.736
0.311 0.495 0.679
0.697 0.495 0.342
0.307 0.220 0.451
0.648 0.868 0.527
0.705 0.937 0.103
0.724 0.319 0.954
0.085 0.814 0.275
0.135 0.138 0.045
0.092 0.327 0.151
0.925 0.802 0.918
0.307 0.651 0.061
0.991 0.227 0.768
0.868 0.044 0.306
0.929 0.571 0.887
0.357 0.026 0.863
0.051 0.029 0.663

=====

MgAu4Se4Cl4O12 | Materials Project | PBE | relaxed; relative energy among the computed polymorphs = 27 meV per atom; raw total energy = -4.440 eV per atom; space-group type = P1, No. 1; theoretical density = 4213 kg/m³
1.0
-1.803 -0.820 -4.947
1.460 -9.890 0.785
-10.017 -2.665 3.369
Mg Au Se Cl O
1 4 4 4 12
Direct
0.685 0.665 0.004
0.036 0.574 0.218
0.011 0.992 0.012
0.986 0.404 0.832
0.991 0.001 0.512
0.764 0.858 0.291
0.138 0.733 0.831
0.858 0.281 0.124
0.242 0.132 0.740
0.259 0.483 0.667
0.534 0.575 0.209
0.238 0.185 0.450
0.740 0.817 0.579
0.716 0.927 0.138
0.737 0.351 0.982
0.039 0.763 0.280
0.087 0.166 0.080
0.087 0.390 0.153
0.945 0.811 0.944
0.414 0.709 0.895
0.961 0.220 0.774
0.896 0.004 0.335
0.961 0.586 0.895
0.307 0.045 0.883
0.090 0.996 0.689

=====

MgAu4Se4Cl4O12 | Materials Project | PBE | relaxed; relative energy among the computed polymorphs = 56 meV per atom; raw total energy = -4.411 eV per atom; space-group type = P1, No. 1; theoretical density = 4478 kg/m³
1.0
4.852 0.010 0.043
0.485 9.986 1.315
-0.092 -0.371 11.139
Mg Au Se Cl O
1 4 4 4 12
Direct
0.213 0.869 0.128
0.002 0.578 0.171
0.912 0.012 0.967
0.992 0.416 0.808
0.077 0.992 0.515
0.729 0.833 0.326
0.094 0.726 0.882
0.800 0.298 0.075
0.366 0.156 0.728
0.311 0.499 0.673
0.745 0.476 0.321
0.300 0.175 0.433
0.858 0.804 0.594
0.563 0.900 0.199
0.694 0.349 0.929
0.019 0.749 0.255
0.034 0.164 0.063
0.072 0.407 0.094
0.821 0.838 0.899
0.220 0.695 0.039
0.027 0.234 0.748
0.929 0.968 0.344
0.884 0.595 0.873
0.449 0.085 0.865
0.220 0.009 0.680